Entry from Materials Project: a geometry-optimized CeTl2InSe4 structure (r²SCAN).

Output
calculated formation energy	-1014	meV/atom

Unit cell a=6.708 b=6.708 c=6.708 alpha=66.24 beta=72.63 gamma=107.37
Atoms (fractional coordinates):
Ce: 0.500 0.250 0.250
Se: 0.132 0.786 0.714
Se: 0.500 0.714 0.154
Se: 0.500 0.346 0.786
Se: 0.868 0.154 0.346
Tl: 0.000 0.750 0.250
Tl: 0.000 0.250 0.750
In: 0.500 0.750 0.750

Entry from Materials Project: a geometry-optimized CeTmIn2 structure (r²SCAN).

Output
calculated formation energy	-562	meV/atom

Unit cell a=5.355 b=5.355 c=5.355 alpha=60.00 beta=60.00 gamma=60.00
Atoms (fractional coordinates):
Ce: 0.500 0.500 0.500
In: 0.250 0.250 0.250
In: 0.750 0.750 0.750
Tm: 0.000 0.000 0.000

Entry from Materials Project: a geometry-optimized CeYIn2 structure (r²SCAN).

Output
calculated formation energy	-588	meV/atom

Unit cell a=5.401 b=5.401 c=5.401 alpha=60.00 beta=60.00 gamma=60.00
Atoms (fractional coordinates):
Y: 0.500 0.500 0.500
In: 0.250 0.250 0.250
In: 0.750 0.750 0.750
Ce: 0.000 0.000 0.000

Entry from Materials Project: a geometry-optimized CeYIn6 structure (r²SCAN).

Output
calculated formation energy	-545	meV/atom

Unit cell a=4.685 b=4.685 c=9.250 alpha=90.00 beta=90.00 gamma=90.00
Atoms (fractional coordinates):
In: 0.500 0.500 0.500
In: 0.000 0.500 0.747
In: 0.500 0.000 0.253
In: 0.500 0.000 0.747
In: 0.000 0.500 0.253
In: 0.500 0.500 0.000
Y: 0.000 0.000 0.500
Ce: 0.000 0.000 0.000

Entry from Materials Project: a geometry-optimized CeZnIn structure (r²SCAN).

Output
calculated formation energy	-451	meV/atom

Unit cell a=4.767 b=4.767 c=7.366 alpha=90.00 beta=90.00 gamma=120.00
Atoms (fractional coordinates):
In: 0.667 0.333 0.750
In: 0.333 0.667 0.250
Ce: 0.000 0.000 0.500
Ce: 0.000 0.000 0.000
Zn: 0.667 0.333 0.250
Zn: 0.333 0.667 0.750

Entry from Materials Project: a geometry-optimized CeIr2 structure (r²SCAN).

Output
calculated formation energy	-851	meV/atom

Unit cell a=5.370 b=5.370 c=5.370 alpha=60.00 beta=60.00 gamma=60.00
Atoms (fractional coordinates):
Ce: 0.875 0.875 0.875
Ce: 0.125 0.125 0.125
Ir: 0.500 0.500 0.000
Ir: 0.000 0.500 0.500
Ir: 0.500 0.000 0.500
Ir: 0.500 0.500 0.500

Entry from Materials Project: a geometry-optimized Sr2CeIrO6 structure (r²SCAN).

Output
calculated formation energy	-2644	meV/atom

Unit cell a=5.885 b=5.843 c=10.071 alpha=55.01 beta=90.00 gamma=90.00
Atoms (fractional coordinates):
Sr: 0.963 0.761 0.249
Sr: 0.537 0.761 0.749
Sr: 0.037 0.239 0.751
Sr: 0.463 0.239 0.251
Ce: 0.500 0.500 0.500
Ce: 0.000 0.500 0.000
O: 0.273 0.157 0.540
O: 0.205 0.764 0.460
O: 0.982 0.689 0.735
O: 0.018 0.311 0.265
O: 0.727 0.843 0.460
O: 0.482 0.311 0.765
O: 0.295 0.764 0.960
O: 0.705 0.236 0.040
O: 0.518 0.689 0.235
O: 0.227 0.157 0.040
O: 0.795 0.236 0.540
O: 0.773 0.843 0.960
Ir: 0.000 0.000 0.500
Ir: 0.500 0.000 0.000

Entry from Materials Project: a geometry-optimized CePIr structure (r²SCAN).

Output
calculated formation energy	-1342	meV/atom

Unit cell a=4.041 b=4.041 c=7.702 alpha=105.21 beta=105.21 gamma=90.00
Atoms (fractional coordinates):
Ce: 0.750 0.250 0.500
Ce: 0.000 0.000 0.000
P: 0.330 0.830 0.661
P: 0.580 0.580 0.160
Ir: 0.164 0.664 0.329
Ir: 0.414 0.414 0.828

Entry from Materials Project: a geometry-optimized CeSi2Ir3 structure (r²SCAN).

Output
calculated formation energy	-1038	meV/atom

Unit cell a=5.618 b=6.674 c=6.674 alpha=65.02 beta=65.11 gamma=65.11
Atoms (fractional coordinates):
Ir: 0.000 0.282 0.718
Ir: 0.500 0.000 0.500
Ir: 0.500 0.218 0.782
Ir: 0.000 0.718 0.282
Ir: 0.500 0.782 0.218
Ir: 0.500 0.500 0.000
Si: 0.620 0.579 0.579
Si: 0.380 0.421 0.421
Si: 0.278 0.921 0.921
Si: 0.722 0.079 0.079
Ce: 0.968 0.750 0.750
Ce: 0.032 0.250 0.250

Entry from Materials Project: a geometry-optimized CeSi2Ir2 structure (r²SCAN).

Output
calculated formation energy	-1141	meV/atom

Unit cell a=4.100 b=4.100 c=5.810 alpha=110.66 beta=110.66 gamma=90.00
Atoms (fractional coordinates):
Ir: 0.750 0.250 0.500
Ir: 0.250 0.750 0.500
Ce: 0.000 0.000 0.000
Si: 0.377 0.377 0.754
Si: 0.623 0.623 0.246

Entry from Materials Project: a geometry-optimized CeSi2Ir2 structure (r²SCAN).

Output
calculated formation energy	-1147	meV/atom

Unit cell a=4.161 b=4.161 c=9.870 alpha=90.00 beta=90.00 gamma=90.00
Atoms (fractional coordinates):
Ce: 0.250 0.250 0.244
Ce: 0.750 0.750 0.756
Si: 0.250 0.750 0.000
Si: 0.750 0.250 0.000
Si: 0.750 0.750 0.371
Si: 0.250 0.250 0.629
Ir: 0.250 0.750 0.500
Ir: 0.750 0.250 0.500
Ir: 0.750 0.750 0.127
Ir: 0.250 0.250 0.873

Entry from Materials Project: a geometry-optimized KCeS2 structure (r²SCAN).

Output
calculated formation energy	-2146	meV/atom

Unit cell a=7.723 b=7.723 c=7.723 alpha=31.83 beta=31.83 gamma=31.83
Atoms (fractional coordinates):
S: 0.264 0.264 0.264
S: 0.736 0.736 0.736
K: 0.500 0.500 0.500
Ce: 0.000 0.000 0.000

Entry from Materials Project: a geometry-optimized KCeSe4 structure (r²SCAN).

Output
calculated formation energy	-1373	meV/atom

Unit cell a=6.404 b=6.404 c=8.379 alpha=90.00 beta=90.00 gamma=90.00
Atoms (fractional coordinates):
Ce: 0.000 0.000 0.000
Ce: 0.500 0.500 0.000
Se: 0.867 0.633 0.786
Se: 0.367 0.867 0.786
Se: 0.133 0.633 0.214
Se: 0.867 0.367 0.214
Se: 0.633 0.133 0.786
Se: 0.367 0.133 0.214
Se: 0.133 0.367 0.786
Se: 0.633 0.867 0.214
K: 0.500 0.500 0.500
K: 0.000 0.000 0.500

Entry from Materials Project: a geometry-optimized LaCeN2 structure (r²SCAN).

Output
calculated formation energy	-1670	meV/atom

Unit cell a=6.354 b=6.354 c=6.354 alpha=33.42 beta=33.42 gamma=33.42
Atoms (fractional coordinates):
N: 0.256 0.256 0.256
N: 0.744 0.744 0.744
La: 0.500 0.500 0.500
Ce: 0.000 0.000 0.000

Entry from Materials Project: a geometry-optimized LaCeNi10 structure (r²SCAN).

Output
calculated formation energy	-272	meV/atom

Unit cell a=3.946 b=4.900 c=8.486 alpha=90.00 beta=90.00 gamma=90.00
Atoms (fractional coordinates):
Ni: 0.500 0.748 0.755
Ni: 0.500 0.000 0.000
Ni: 0.500 0.252 0.755
Ni: 0.500 0.252 0.245
Ni: 0.500 0.500 0.500
Ni: 0.500 0.748 0.245
Ni: 0.000 0.500 0.674
Ni: 0.000 0.500 0.326
Ni: 0.000 0.000 0.839
Ni: 0.000 0.000 0.161
Ce: 0.000 0.500 0.000
La: 0.000 0.000 0.500

Entry from Materials Project: a geometry-optimized LaCeRu4 structure (r²SCAN).

Output
calculated formation energy	-199	meV/atom

Unit cell a=5.375 b=5.375 c=5.375 alpha=60.00 beta=60.00 gamma=60.00
Atoms (fractional coordinates):
La: 0.000 0.000 0.000
Ru: 0.625 0.625 0.625
Ru: 0.625 0.126 0.625
Ru: 0.625 0.625 0.126
Ru: 0.126 0.625 0.625
Ce: 0.250 0.250 0.250

Entry from Materials Project: a geometry-optimized LaCeSn6 structure (r²SCAN).

Output
calculated formation energy	-553	meV/atom

Unit cell a=4.769 b=4.769 c=9.528 alpha=90.00 beta=90.00 gamma=90.00
Atoms (fractional coordinates):
Ce: 0.000 0.000 0.000
Sn: 0.500 0.000 0.247
Sn: 0.000 0.500 0.247
Sn: 0.500 0.500 0.500
Sn: 0.500 0.500 0.000
Sn: 0.500 0.000 0.753
Sn: 0.000 0.500 0.753
La: 0.000 0.000 0.500

Entry from Materials Project: a geometry-optimized La2CeTe4 structure (r²SCAN).

Output
calculated formation energy	-1827	meV/atom

Unit cell a=8.405 b=8.407 c=8.405 alpha=109.47 beta=109.49 gamma=109.47
Atoms (fractional coordinates):
La: 0.002 0.876 0.627
La: 0.249 0.375 0.373
La: 0.625 0.999 0.873
La: 0.125 0.752 0.126
Te: 0.725 0.624 0.749
Te: 0.525 0.775 0.399
Te: 0.375 0.126 0.601
Te: 0.874 0.475 0.250
Te: 0.376 0.125 0.100
Te: 0.025 0.276 0.900
Te: 0.226 0.624 0.750
Te: 0.875 0.976 0.251
Ce: 0.748 0.248 0.500
Ce: 0.498 0.499 0.000

Entry from Materials Project: a geometry-optimized Li2CeN2 structure (r²SCAN).

Output
calculated formation energy	-1167	meV/atom

Unit cell a=3.574 b=3.574 c=5.430 alpha=90.00 beta=90.00 gamma=120.00
Atoms (fractional coordinates):
Li: 0.333 0.667 0.605
Li: 0.667 0.333 0.395
N: 0.667 0.333 0.772
N: 0.333 0.667 0.228
Ce: 0.000 0.000 0.000

Entry from Materials Project: a geometry-optimized Li8CeO6 structure (r²SCAN).

Output
calculated formation energy	-2361	meV/atom

Unit cell a=6.237 b=6.237 c=6.237 alpha=53.02 beta=53.02 gamma=53.02
Atoms (fractional coordinates):
O: 0.101 0.398 0.758
O: 0.398 0.758 0.101
O: 0.758 0.101 0.398
O: 0.899 0.602 0.242
O: 0.602 0.242 0.899
O: 0.242 0.899 0.602
Li: 0.355 0.355 0.355
Li: 0.227 0.504 0.896
Li: 0.896 0.227 0.504
Li: 0.773 0.496 0.104
Li: 0.496 0.104 0.773
Li: 0.645 0.645 0.645
Li: 0.104 0.773 0.496
Li: 0.504 0.896 0.227
Ce: 0.000 0.000 0.000